Record 1
A geometry-optimized Li8Cr3SbO12 structure. Source: the Materials Project database, functional PBE+U.

Geometry as extended XYZ:
```
24
Lattice="5.017 0.000 0.000 0.000 8.545 0.000 -0.050 0.000 5.048" Properties=species:S:1:pos:R:3 pbc="T T T"
Li 0.000 0.000 0.000
Li -0.025 1.181 2.524
Li 0.000 2.566 0.000
Li -0.025 7.151 2.524
Li 2.508 2.802 0.000
Li 2.484 4.198 2.524
Li 2.508 5.433 0.000
Li 2.484 6.886 2.524
Cr -0.025 3.988 2.524
Cr 2.484 1.374 2.524
Cr 2.508 8.442 0.000
Sb 0.000 5.610 0.000
O 1.098 5.488 1.669
O 1.080 4.159 4.188
O 1.232 6.990 4.307
O 1.283 2.643 1.782
O 1.355 1.198 4.157
O 1.436 8.499 1.647
O 3.531 8.499 3.401
O 3.612 1.198 0.891
O 3.684 2.643 3.266
O 3.735 6.990 0.740
O 3.888 4.159 0.859
O 3.869 5.488 3.379
```

## Properties
* ΔH_f (0 K): -2.180 eV/atom
* space group: No. 3

Record 2
A geometry-optimized Li8Cr3SbO12 structure. Source: the Materials Project database, functional PBE+U.

Geometry as extended XYZ:
```
24
Lattice="5.031 0.000 0.000 -0.067 5.047 0.000 -0.091 -0.059 8.566" Properties=species:S:1:pos:R:3 pbc="T T T"
Li 0.000 0.000 0.000
Li 4.921 2.464 7.156
Li -0.041 2.522 1.239
Li -0.086 5.003 2.683
Li 2.422 -0.027 5.536
Li 2.419 2.457 6.922
Li 2.503 -0.010 2.953
Li 2.477 2.540 4.362
Cr -0.042 2.453 4.244
Cr 2.422 -0.052 8.355
Cr 4.851 4.992 5.745
Sb 2.470 2.532 1.416
O 0.989 0.882 4.301
O 0.993 3.360 5.543
O 1.133 0.700 6.992
O 1.226 3.276 2.808
O 1.248 3.321 8.525
O 1.380 0.857 1.292
O 3.529 1.621 8.541
O 3.575 4.199 1.293
O 3.740 1.790 2.811
O 3.668 4.247 7.014
O 3.833 1.596 5.571
O 3.886 4.134 4.289
```

## Properties
* ΔH_f (0 K): -2.181 eV/atom
* space group: No. 1

Record 3
A geometry-optimized Li4Cr3Sn3Sb2O16 structure. Source: the Materials Project database, functional PBE+U.

Geometry as extended XYZ:
```
28
Lattice="5.354 -3.113 0.000 5.354 3.113 0.000 -0.090 0.000 10.130" Properties=species:S:1:pos:R:3 pbc="T T T"
Li 0.000 0.000 0.000
Li -0.033 0.000 4.985
Li 3.431 0.000 3.963
Li 6.978 0.000 9.105
Cr 1.675 0.000 7.256
Cr 6.162 1.535 2.196
Cr 6.162 -1.535 2.196
Sn 4.316 1.542 7.260
Sn 4.316 -1.542 7.260
Sn 8.817 0.000 2.189
Sb 3.421 0.000 0.033
Sb 6.945 0.000 4.909
O 2.580 1.407 8.422
O 1.581 0.000 1.111
O 4.462 1.664 1.038
O 6.062 1.696 6.105
O 3.403 0.000 6.140
O 2.580 -1.407 8.422
O 5.080 0.000 8.454
O 7.805 1.411 3.412
O 5.420 0.000 3.339
O 7.018 0.000 1.130
O 4.462 -1.664 1.038
O 8.931 0.000 6.053
O 6.062 -1.696 6.105
O 7.805 -1.411 3.412
O 10.649 0.000 3.164
O 10.613 0.000 8.286
```

## Properties
* ΔH_f (0 K): -2.138 eV/atom
* space group: No. 8

Record 4
A geometry-optimized Li4Cr2Si4O13 structure. Source: the Materials Project database, functional PBE+U.

Geometry as extended XYZ:
```
92
Lattice="13.712 0.000 0.000 0.000 5.000 0.000 0.000 0.000 14.065" Properties=species:S:1:pos:R:3 pbc="T T T"
Li 0.578 0.875 0.000
Li 1.499 3.307 4.224
Li 1.838 3.236 1.574
Li 2.888 1.256 5.394
Li 3.968 3.756 12.426
Li 5.018 0.736 8.606
Li 5.357 0.807 11.257
Li 6.278 3.375 7.033
Li 7.434 1.625 0.000
Li 8.355 4.193 4.224
Li 8.694 4.264 1.574
Li 9.744 1.244 5.394
Li 10.824 3.744 12.426
Li 11.874 1.764 8.606
Li 12.214 1.693 11.257
Li 13.134 4.125 7.033
Cr 1.090 1.787 8.373
Cr 2.347 0.894 11.238
Cr 4.509 3.394 4.206
Cr 5.766 4.287 1.340
Cr 7.946 0.713 8.373
Cr 9.203 1.606 11.238
Cr 11.365 4.106 4.206
Cr 12.622 3.213 1.340
Si 0.286 0.762 3.099
Si 0.835 3.422 12.718
Si 2.601 4.238 6.923
Si 3.112 0.860 2.466
Si 3.744 3.360 9.498
Si 4.255 1.738 13.956
Si 6.021 0.922 5.685
Si 6.570 3.262 10.132
Si 7.142 1.738 3.099
Si 7.691 4.078 12.718
Si 9.457 3.262 6.923
Si 9.968 1.640 2.466
Si 10.600 4.140 9.498
Si 11.111 0.762 13.956
Si 12.877 1.578 5.685
Si 13.426 4.238 10.132
O 0.344 2.145 2.277
O 0.459 1.098 4.713
O 0.466 3.833 0.199
O 0.919 0.293 9.854
O 1.028 1.833 12.427
O 1.269 3.372 7.229
O 1.722 4.942 2.760
O 2.140 4.294 12.331
O 2.421 0.822 7.249
O 2.486 2.374 9.787
O 2.974 1.221 0.856
O 2.979 4.101 5.332
O 3.003 2.239 3.321
O 3.853 4.739 10.353
O 3.877 1.601 12.364
O 3.882 3.721 7.889
O 4.370 4.874 2.754
O 4.435 3.322 0.216
O 4.716 1.794 5.299
O 5.135 2.442 9.793
O 5.587 0.872 0.196
O 5.828 4.333 5.395
O 5.937 2.793 2.821
O 6.390 1.333 7.232
O 6.397 3.598 11.746
O 6.512 4.645 9.309
O 7.200 0.355 2.277
O 7.315 1.402 4.713
O 7.322 3.667 0.199
O 7.775 2.207 9.854
O 7.884 0.667 12.427
O 8.125 4.128 7.229
O 8.578 2.558 2.760
O 8.996 3.206 12.331
O 9.277 1.678 7.249
O 9.342 0.126 9.787
O 9.830 1.279 0.856
O 9.835 3.399 5.332
O 9.859 0.261 3.321
O 10.709 2.761 10.353
O 10.733 0.899 12.364
O 10.738 3.779 7.889
O 11.226 2.626 2.754
O 11.291 4.178 0.216
O 11.573 0.706 5.299
O 11.991 0.058 9.793
O 12.443 1.628 0.196
O 12.684 3.167 5.395
O 12.793 4.707 2.821
O 13.246 1.167 7.232
O 13.253 3.902 11.746
O 13.368 2.855 9.309
```

## Properties
* ΔH_f (0 K): -2.834 eV/atom
* space group: No. 33